No. 1
{
  "formula": "LiH4CN3",
  "functional": "PBE",
  "state": "relaxed",
  "delta_e_f_ev_per_atom": -0.49,
  "energy_corrected_mp2020_ev_per_atom": -6.014,
  "spacegroup": "P2_1/c, No. 14",
  "lattice": [[4.577, 0.000, 0.000], [0.000, 7.336, 0.000], [0.000, 2.092, 8.895]],
  "species": ["Li", "Li", "Li", "Li", "H", "H", "H", "H", "H", "H", "H", "H", "H", "H", "H", "H", "H", "H", "H", "H", "C", "C", "C", "C", "N", "N", "N", "N", "N", "N", "N", "N", "N", "N", "N", "N"],
  "frac_coords": [[0.881, 0.149, 0.519], [0.381, 0.851, 0.981], [0.119, 0.851, 0.481], [0.619, 0.149, 0.019], [0.371, 0.313, 0.507], [0.871, 0.687, 0.993], [0.629, 0.687, 0.493], [0.129, 0.313, 0.007], [0.624, 0.434, 0.384], [0.124, 0.566, 0.116], [0.376, 0.566, 0.616], [0.876, 0.434, 0.884], [0.605, 0.418, 0.150], [0.105, 0.582, 0.350], [0.395, 0.582, 0.850], [0.895, 0.418, 0.650], [0.068, 0.090, 0.253], [0.568, 0.910, 0.247], [0.932, 0.910, 0.747], [0.432, 0.090, 0.753], [0.371, 0.249, 0.301], [0.871, 0.751, 0.199], [0.629, 0.751, 0.699], [0.129, 0.249, 0.801], [0.512, 0.311, 0.419], [0.012, 0.689, 0.081], [0.488, 0.689, 0.581], [0.988, 0.311, 0.919], [0.451, 0.315, 0.158], [0.951, 0.685, 0.342], [0.549, 0.685, 0.842], [0.049, 0.315, 0.658], [0.163, 0.120, 0.346], [0.663, 0.880, 0.154], [0.837, 0.880, 0.654], [0.337, 0.120, 0.846]]
}

No. 2
{
  "formula": "LiH3CN2O",
  "functional": "PBE",
  "state": "relaxed",
  "delta_e_f_ev_per_atom": -0.78,
  "energy_corrected_mp2020_ev_per_atom": -6.152,
  "spacegroup": "P2_1/c, No. 14",
  "lattice": [[-0.462, 1.649, -7.575], [-0.671, -9.240, -1.971], [-12.931, -0.490, 6.700]],
  "species": ["Li", "Li", "Li", "Li", "Li", "Li", "Li", "Li", "Li", "Li", "Li", "Li", "H", "H", "H", "H", "H", "H", "H", "H", "H", "H", "H", "H", "H", "H", "H", "H", "H", "H", "H", "H", "H", "H", "H", "H", "H", "H", "H", "H", "H", "H", "H", "H", "H", "H", "H", "H", "C", "C", "C", "C", "C", "C", "C", "C", "C", "C", "C", "C", "N", "N", "N", "N", "N", "N", "N", "N", "N", "N", "N", "N", "N", "N", "N", "N", "N", "N", "N", "N", "N", "N", "N", "N", "O", "O", "O", "O", "O", "O", "O", "O", "O", "O", "O", "O"],
  "frac_coords": [[0.110, 0.567, 0.135], [0.110, 0.933, 0.635], [0.890, 0.433, 0.865], [0.890, 0.067, 0.365], [0.111, 0.650, 0.948], [0.111, 0.850, 0.448], [0.889, 0.350, 0.052], [0.889, 0.150, 0.552], [0.801, 0.689, 0.775], [0.801, 0.811, 0.275], [0.199, 0.311, 0.225], [0.199, 0.189, 0.725], [0.548, 0.749, 0.865], [0.548, 0.751, 0.365], [0.452, 0.251, 0.135], [0.452, 0.249, 0.635], [0.529, 0.734, 0.980], [0.529, 0.766, 0.480], [0.471, 0.266, 0.020], [0.471, 0.234, 0.520], [0.740, 0.589, 0.096], [0.740, 0.911, 0.596], [0.260, 0.411, 0.904], [0.260, 0.089, 0.404], [0.991, 0.901, 0.124], [0.991, 0.599, 0.624], [0.009, 0.099, 0.876], [0.009, 0.401, 0.376], [0.050, 0.056, 0.086], [0.050, 0.444, 0.586], [0.950, 0.944, 0.914], [0.950, 0.556, 0.414], [0.856, 0.261, 0.219], [0.856, 0.239, 0.719], [0.144, 0.739, 0.781], [0.144, 0.761, 0.281], [0.694, 0.053, 0.959], [0.694, 0.447, 0.459], [0.306, 0.947, 0.041], [0.306, 0.553, 0.541], [0.457, 0.050, 0.876], [0.457, 0.450, 0.376], [0.543, 0.950, 0.124], [0.543, 0.550, 0.624], [0.488, 0.386, 0.783], [0.488, 0.114, 0.283], [0.512, 0.614, 0.217], [0.512, 0.886, 0.717], [0.756, 0.631, 0.969], [0.756, 0.869, 0.469], [0.244, 0.369, 0.031], [0.244, 0.131, 0.531], [0.900, 0.079, 0.173], [0.900, 0.421, 0.673], [0.100, 0.921, 0.827], [0.100, 0.579, 0.327], [0.604, 0.231, 0.871], [0.604, 0.269, 0.371], [0.396, 0.769, 0.129], [0.396, 0.731, 0.629], [0.602, 0.717, 0.937], [0.602, 0.783, 0.437], [0.398, 0.283, 0.063], [0.398, 0.217, 0.563], [0.821, 0.566, 0.058], [0.821, 0.934, 0.558], [0.179, 0.434, 0.942], [0.179, 0.066, 0.442], [0.958, 0.005, 0.108], [0.958, 0.495, 0.608], [0.042, 0.995, 0.892], [0.042, 0.505, 0.392], [0.919, 0.219, 0.175], [0.919, 0.281, 0.675], [0.081, 0.781, 0.825], [0.081, 0.719, 0.325], [0.579, 0.104, 0.910], [0.579, 0.396, 0.410], [0.421, 0.896, 0.090], [0.421, 0.604, 0.590], [0.454, 0.287, 0.798], [0.454, 0.213, 0.298], [0.546, 0.713, 0.202], [0.546, 0.787, 0.702], [0.839, 0.617, 0.908], [0.839, 0.883, 0.408], [0.161, 0.383, 0.092], [0.161, 0.117, 0.592], [0.826, 0.007, 0.224], [0.826, 0.493, 0.724], [0.174, 0.993, 0.776], [0.174, 0.507, 0.276], [0.772, 0.286, 0.912], [0.772, 0.214, 0.412], [0.228, 0.714, 0.088], [0.228, 0.786, 0.588]]
}

No. 3
{
  "formula": "LiH8C2S2NO5",
  "functional": "PBE",
  "state": "relaxed",
  "delta_e_f_ev_per_atom": -0.89,
  "energy_corrected_mp2020_ev_per_atom": -5.568,
  "spacegroup": "Pnna, No. 52",
  "lattice": [[10.656, 0.000, 0.000], [0.000, 10.987, 0.000], [0.000, 0.000, 13.402]],
  "species": ["Li", "Li", "Li", "Li", "Li", "Li", "Li", "Li", "H", "H", "H", "H", "H", "H", "H", "H", "H", "H", "H", "H", "H", "H", "H", "H", "H", "H", "H", "H", "H", "H", "H", "H", "H", "H", "H", "H", "H", "H", "H", "H", "H", "H", "H", "H", "H", "H", "H", "H", "H", "H", "H", "H", "H", "H", "H", "H", "H", "H", "H", "H", "H", "H", "H", "H", "H", "H", "H", "H", "H", "H", "H", "H", "C", "C", "C", "C", "C", "C", "C", "C", "C", "C", "C", "C", "C", "C", "C", "C", "S", "S", "S", "S", "S", "S", "S", "S", "S", "S", "S", "S", "S", "S", "S", "S", "N", "N", "N", "N", "N", "N", "N", "N", "O", "O", "O", "O", "O", "O", "O", "O", "O", "O", "O", "O", "O", "O", "O", "O", "O", "O", "O", "O", "O", "O", "O", "O", "O", "O", "O", "O", "O", "O", "O", "O", "O", "O", "O", "O", "O", "O", "O", "O"],
  "frac_coords": [[0.750, 0.237, 0.750], [0.750, 0.263, 0.250], [0.771, 0.250, 0.500], [0.229, 0.750, 0.500], [0.250, 0.737, 0.750], [0.271, 0.750, 0.000], [0.250, 0.763, 0.250], [0.729, 0.250, 0.000], [0.172, 0.131, 0.823], [0.790, 0.932, 0.637], [0.425, 0.363, 0.804], [0.710, 0.568, 0.137], [0.802, 0.084, 0.362], [0.210, 0.068, 0.363], [0.912, 0.754, 0.882], [0.412, 0.246, 0.382], [0.588, 0.746, 0.382], [0.412, 0.254, 0.618], [0.710, 0.932, 0.863], [0.659, 0.116, 0.373], [0.425, 0.137, 0.196], [0.922, 0.884, 0.563], [0.140, 0.375, 0.045], [0.328, 0.131, 0.677], [0.328, 0.369, 0.323], [0.172, 0.369, 0.177], [0.422, 0.384, 0.937], [0.198, 0.584, 0.362], [0.841, 0.384, 0.873], [0.159, 0.616, 0.127], [0.575, 0.637, 0.196], [0.302, 0.916, 0.862], [0.828, 0.869, 0.177], [0.640, 0.625, 0.545], [0.698, 0.084, 0.138], [0.860, 0.875, 0.045], [0.925, 0.863, 0.696], [0.210, 0.432, 0.637], [0.672, 0.869, 0.323], [0.588, 0.754, 0.618], [0.341, 0.616, 0.373], [0.078, 0.116, 0.437], [0.925, 0.637, 0.304], [0.290, 0.432, 0.863], [0.360, 0.375, 0.455], [0.341, 0.884, 0.627], [0.078, 0.384, 0.563], [0.422, 0.116, 0.063], [0.578, 0.884, 0.937], [0.922, 0.616, 0.437], [0.140, 0.125, 0.955], [0.790, 0.568, 0.363], [0.088, 0.254, 0.882], [0.290, 0.068, 0.137], [0.578, 0.616, 0.063], [0.198, 0.916, 0.638], [0.159, 0.884, 0.873], [0.698, 0.416, 0.862], [0.075, 0.137, 0.304], [0.075, 0.363, 0.696], [0.575, 0.863, 0.804], [0.302, 0.584, 0.138], [0.841, 0.116, 0.127], [0.659, 0.384, 0.627], [0.828, 0.631, 0.823], [0.640, 0.875, 0.455], [0.912, 0.746, 0.118], [0.672, 0.631, 0.677], [0.088, 0.246, 0.118], [0.802, 0.416, 0.638], [0.360, 0.125, 0.545], [0.860, 0.625, 0.955], [0.608, 0.921, 0.865], [0.606, 0.844, 0.382], [0.106, 0.156, 0.882], [0.608, 0.579, 0.135], [0.108, 0.079, 0.365], [0.108, 0.421, 0.635], [0.394, 0.344, 0.382], [0.106, 0.344, 0.118], [0.606, 0.656, 0.618], [0.392, 0.079, 0.135], [0.894, 0.656, 0.882], [0.892, 0.579, 0.365], [0.892, 0.921, 0.635], [0.392, 0.421, 0.865], [0.894, 0.844, 0.118], [0.394, 0.156, 0.618], [0.039, 0.579, 0.859], [0.961, 0.079, 0.859], [0.538, 0.432, 0.149], [0.961, 0.421, 0.141], [0.038, 0.932, 0.351], [0.038, 0.568, 0.649], [0.962, 0.432, 0.351], [0.462, 0.932, 0.149], [0.538, 0.068, 0.851], [0.039, 0.921, 0.141], [0.461, 0.579, 0.641], [0.962, 0.068, 0.649], [0.539, 0.079, 0.641], [0.462, 0.568, 0.851], [0.461, 0.921, 0.359], [0.539, 0.421, 0.359], [0.410, 0.626, 0.748], [0.410, 0.874, 0.252], [0.090, 0.874, 0.248], [0.090, 0.626, 0.752], [0.910, 0.374, 0.248], [0.590, 0.126, 0.748], [0.590, 0.374, 0.252], [0.910, 0.126, 0.752], [0.129, 0.621, 0.933], [0.917, 0.356, 0.432], [0.371, 0.621, 0.567], [0.083, 0.856, 0.432], [0.488, 0.052, 0.359], [0.988, 0.552, 0.141], [0.401, 0.450, 0.152], [0.371, 0.879, 0.433], [0.099, 0.450, 0.348], [0.757, 0.152, 0.133], [0.757, 0.348, 0.867], [0.629, 0.121, 0.567], [0.257, 0.652, 0.367], [0.243, 0.652, 0.133], [0.401, 0.050, 0.848], [0.583, 0.144, 0.932], [0.099, 0.050, 0.652], [0.243, 0.848, 0.867], [0.871, 0.121, 0.933], [0.583, 0.356, 0.068], [0.743, 0.152, 0.367], [0.417, 0.644, 0.932], [0.988, 0.948, 0.859], [0.512, 0.948, 0.641], [0.083, 0.644, 0.568], [0.512, 0.552, 0.359], [0.599, 0.550, 0.848], [0.012, 0.052, 0.141], [0.129, 0.879, 0.067], [0.871, 0.379, 0.067], [0.417, 0.856, 0.068], [0.901, 0.950, 0.348], [0.599, 0.950, 0.152], [0.629, 0.379, 0.433], [0.917, 0.144, 0.568], [0.012, 0.448, 0.859], [0.257, 0.848, 0.633], [0.901, 0.550, 0.652], [0.743, 0.348, 0.633], [0.488, 0.448, 0.641]]
}

Q: Which formula does entry 3 have?
A: LiH8C2S2NO5